[1]
First-principles (PBE) data for Y5Ir3 after structural relaxation, as listed in the Materials Project.

abc: 10.949 10.949 6.402
angles: 90.00 90.00 90.00
Sites, in units of the cell vectors:
Y: 0.588 0.209 0.378
Ir: 0.847 0.847 0.750
Y: 0.500 0.500 0.000
Y: 0.912 0.709 0.122
Ir: 0.000 0.500 0.877
Ir: 0.847 0.153 0.250
Y: 0.791 0.588 0.622
Y: 0.209 0.412 0.622
Ir: 0.153 0.847 0.250
Ir: 0.347 0.347 0.250
Y: 0.209 0.588 0.122
Ir: 0.653 0.347 0.750
Y: 0.412 0.791 0.378
Ir: 0.500 0.000 0.623
Ir: 0.000 0.500 0.377
Y: 0.791 0.412 0.122
Y: 0.000 0.000 0.500
Y: 0.709 0.088 0.878
Ir: 0.153 0.153 0.750
Y: 0.412 0.209 0.878
Y: 0.500 0.500 0.500
Y: 0.088 0.291 0.122
Ir: 0.500 0.000 0.123
Y: 0.912 0.291 0.622
Y: 0.588 0.791 0.878
Y: 0.291 0.912 0.878
Y: 0.709 0.912 0.378
Ir: 0.347 0.653 0.750
Y: 0.000 0.000 0.000
Y: 0.088 0.709 0.622
Y: 0.291 0.088 0.378
Ir: 0.653 0.653 0.250

## Properties
The excess energy over the best structure of this formula in the dataset is 0.000 eV/atom. Its formation energy is -779 meV per atom. The calculation puts the uncorrected energy at -8.135 eV/atom.

---

[2]
First-principles (PBE) data for La10MgTi7O30 after structural relaxation, as listed in the Materials Project.

abc: 5.604 5.604 22.206
angles: 90.00 90.00 120.00
Sites, in units of the cell vectors:
La: 0.000 0.000 0.046
La: 0.333 0.667 0.245
Mg: 0.000 0.000 0.199
La: 0.667 0.333 0.641
O: 0.429 0.008 0.052
O: 0.579 0.571 0.052
O: 0.334 0.228 0.749
La: 0.667 0.333 0.456
O: 0.665 0.772 0.652
Ti: 0.333 0.667 0.094
O: 0.895 0.666 0.749
O: 0.436 0.436 0.352
Ti: 0.667 0.333 0.803
O: 0.439 0.998 0.847
O: 0.228 0.893 0.652
La: 0.000 0.000 0.532
O: 0.341 0.105 0.253
O: 0.232 0.328 0.945
O: 0.434 0.428 0.554
O: 0.572 0.006 0.554
O: 0.772 0.105 0.749
Ti: 0.333 0.667 0.911
La: 0.667 0.333 0.970
O: 0.559 0.561 0.847
O: 0.673 0.764 0.448
Ti: 0.333 0.667 0.589
O: 0.564 0.000 0.352
O: 0.091 0.327 0.448
La: 0.667 0.333 0.142
Ti: 0.000 0.000 0.697
O: 0.236 0.909 0.448
O: 0.994 0.566 0.554
La: 0.000 0.000 0.355
La: 0.000 0.000 0.861
O: 0.672 0.904 0.945
O: 0.000 0.564 0.352
O: 0.096 0.768 0.945
O: 0.763 0.659 0.253
O: 0.895 0.237 0.253
O: 0.241 0.347 0.149
Ti: 0.667 0.333 0.298
Ti: 0.333 0.667 0.408
O: 0.002 0.441 0.847
La: 0.333 0.667 0.750
O: 0.107 0.335 0.652
O: 0.992 0.421 0.052
O: 0.105 0.759 0.149
O: 0.653 0.895 0.149

## Properties
Its formation energy is -3750 meV per atom. The calculation puts the uncorrected energy at -8.626 eV/atom.

---

[3]
First-principles (PBE) data for FePt after structural relaxation, as listed in the Materials Project.

abc: 2.728 2.728 3.779
angles: 90.00 90.00 90.00
Sites, in units of the cell vectors:
Fe: 0.000 0.000 0.000
Pt: 0.500 0.500 0.500

## Properties
Its formation energy is -232 meV per atom. The calculation puts the uncorrected energy at -7.503 eV/atom.

---

[4]
First-principles (PBE) data for Ce4CI6N after structural relaxation, as listed in the Materials Project.

abc: 9.616 14.089 14.089
angles: 90.00 90.00 90.00
Sites, in units of the cell vectors:
I: 0.252 0.451 0.236
N: 0.652 0.000 0.000
Ce: 0.191 0.913 0.913
Ce: 0.691 0.413 0.587
I: 0.252 0.764 0.549
I: 0.748 0.451 0.236
I: 0.500 0.281 0.719
I: 0.248 0.736 0.049
I: 0.248 0.951 0.264
I: 0.248 0.264 0.951
I: 0.748 0.549 0.764
Ce: 0.191 0.087 0.087
I: 0.252 0.236 0.451
I: 0.248 0.049 0.736
I: 0.752 0.264 0.951
Ce: 0.691 0.587 0.413
Ce: 0.809 0.087 0.087
Ce: 0.809 0.913 0.913
I: 0.748 0.236 0.451
Ce: 0.500 0.652 0.652
I: 0.000 0.671 0.329
I: 0.252 0.549 0.764
Ce: 0.309 0.413 0.587
C: 0.000 0.036 0.964
Ce: 0.500 0.090 0.910
Ce: 0.000 0.848 0.152
I: 0.000 0.329 0.671
C: 0.000 0.964 0.036
Ce: 0.000 0.152 0.848
I: 0.000 0.781 0.781
Ce: 0.000 0.410 0.410
N: 0.348 0.000 0.000
C: 0.500 0.464 0.464
I: 0.500 0.829 0.829
I: 0.500 0.719 0.281
I: 0.752 0.049 0.736
Ce: 0.500 0.910 0.090
I: 0.748 0.764 0.549
C: 0.500 0.536 0.536
Ce: 0.309 0.587 0.413
N: 0.152 0.500 0.500
I: 0.000 0.219 0.219
Ce: 0.000 0.590 0.590
Ce: 0.500 0.348 0.348
I: 0.752 0.951 0.264
I: 0.752 0.736 0.049
N: 0.848 0.500 0.500
I: 0.500 0.171 0.171

## Properties
Its formation energy is -1337 meV per atom. The calculation puts the uncorrected energy at -5.510 eV/atom.

---

[5]
First-principles (PBE) data for Nd3CrS6 after structural relaxation, as listed in the Materials Project.

abc: 3.904 13.634 16.309
angles: 90.00 90.00 90.00
Sites, in units of the cell vectors:
S: 0.500 0.324 0.020
Nd: 0.000 0.244 0.904
S: 0.000 0.814 0.711
S: 0.500 0.379 0.603
S: 0.500 0.621 0.397
Nd: 0.500 0.950 0.782
Nd: 0.500 0.744 0.596
S: 0.000 0.103 0.755
S: 0.000 0.176 0.520
Nd: 0.000 0.756 0.096
Cr: 0.500 0.500 0.000
Cr: 0.000 0.000 0.000
S: 0.500 0.976 0.595
Nd: 0.000 0.450 0.718
S: 0.000 0.580 0.571
Nd: 0.000 0.681 0.852
S: 0.500 0.686 0.211
S: 0.000 0.121 0.103
S: 0.500 0.314 0.789
Nd: 0.000 0.550 0.282
S: 0.000 0.524 0.095
S: 0.500 0.676 0.980
Cr: 0.000 0.000 0.500
S: 0.000 0.476 0.905
Nd: 0.500 0.181 0.648
S: 0.000 0.879 0.897
Nd: 0.500 0.256 0.404
S: 0.000 0.897 0.245
Nd: 0.500 0.819 0.352
S: 0.500 0.920 0.071
S: 0.500 0.397 0.255
Nd: 0.500 0.050 0.218
S: 0.000 0.824 0.480
S: 0.500 0.080 0.929
S: 0.000 0.420 0.429
S: 0.000 0.186 0.289
S: 0.500 0.603 0.745
Nd: 0.000 0.319 0.148
S: 0.500 0.024 0.405
Cr: 0.500 0.500 0.500

## Properties
Its formation energy is -2017 meV per atom. The calculation puts the uncorrected energy at -6.592 eV/atom.

---

[6]
First-principles (PBE) data for Ti2N2O after structural relaxation, as listed in the Materials Project.

abc: 8.208 8.224 8.224
angles: 109.44 109.39 109.47
Sites, in units of the cell vectors:
O: 0.278 0.272 0.226
N: 0.275 0.540 0.047
Ti: 0.039 0.289 0.254
Ti: 0.708 0.260 0.461
O: 0.226 0.772 0.769
Ti: 0.788 0.746 0.047
Ti: 0.466 0.204 0.754
N: 0.962 0.449 0.725
Ti: 0.999 0.487 0.991
N: 0.549 0.009 0.776
N: 0.264 0.489 0.540
Ti: 0.495 0.497 0.499
N: 0.493 0.727 0.452
N: 0.009 0.959 0.736
Ti: 0.532 0.787 0.247
Ti: 0.238 0.537 0.785
O: 0.723 0.732 0.774
Ti: 0.205 0.247 0.954
N: 0.224 0.946 0.489
O: 0.776 0.053 0.514
N: 0.949 0.226 0.961
N: 0.739 0.515 0.465
N: 0.764 0.728 0.276
Ti: 0.954 0.709 0.742
Ti: 0.999 0.988 0.485
N: 0.726 0.463 0.952
N: 0.775 0.227 0.233
Ti: 0.510 0.021 0.015
Ti: 0.756 0.962 0.707
N: 0.448 0.986 0.224
O: 0.042 0.774 0.034
Ti: 0.261 0.041 0.306
O: 0.232 0.274 0.726
N: 0.507 0.276 0.548
Ti: 0.307 0.755 0.544
N: 0.995 0.041 0.267
O: 0.043 0.552 0.275
O: 0.542 0.764 0.987
N: 0.458 0.234 0.011
Ti: 0.745 0.458 0.203

## Properties
Its formation energy is -1985 meV per atom. The calculation puts the uncorrected energy at -9.330 eV/atom.